Record 1
DFT (PBE) results for a geometry-optimized La2I6O19 structure.

Cell: 7.444 11.258 12.974 Å, 90.00 122.65 90.00°
Sites, in units of the cell vectors:
La (0.000, 0.001, 0.000)
La (0.000, 0.999, 0.500)
La (0.605, 0.479, 0.099)
La (0.605, 0.521, 0.599)
I (0.000, 0.351, 0.000)
I (0.000, 0.649, 0.500)
I (0.072, 0.311, 0.372)
I (0.072, 0.689, 0.872)
I (0.334, 0.351, 0.742)
I (0.334, 0.649, 0.242)
I (0.350, 0.033, 0.868)
I (0.350, 0.967, 0.368)
I (0.546, 0.170, 0.209)
I (0.546, 0.830, 0.709)
I (0.768, 0.167, 0.681)
I (0.768, 0.833, 0.181)
O (0.218, 0.077, 0.412)
O (0.218, 0.923, 0.912)
O (0.291, 0.043, 0.227)
O (0.291, 0.372, 0.094)
O (0.291, 0.628, 0.594)
O (0.291, 0.957, 0.727)
O (0.313, 0.362, 0.517)
O (0.313, 0.638, 0.017)
O (0.359, 0.112, 0.055)
O (0.359, 0.888, 0.555)
O (0.382, 0.367, 0.895)
O (0.382, 0.633, 0.395)
O (0.453, 0.206, 0.755)
O (0.453, 0.794, 0.255)
O (0.557, 0.445, 0.768)
O (0.557, 0.555, 0.268)
O (0.568, 0.395, 0.416)
O (0.568, 0.605, 0.916)
O (0.627, 0.020, 0.464)
O (0.627, 0.980, 0.964)
O (0.705, 0.267, 0.170)
O (0.705, 0.733, 0.670)
O (0.732, 0.044, 0.268)
O (0.732, 0.956, 0.768)
O (0.794, 0.326, 0.663)
O (0.794, 0.674, 0.163)
O (0.928, 0.450, 0.085)
O (0.928, 0.550, 0.585)
O (0.934, 0.454, 0.329)
O (0.934, 0.546, 0.829)
O (0.937, 0.165, 0.849)
O (0.937, 0.835, 0.349)
O (0.949, 0.233, 0.443)
O (0.949, 0.767, 0.943)
O (0.982, 0.119, 0.660)
O (0.982, 0.881, 0.160)
O (0.984, 0.211, 0.066)
O (0.984, 0.789, 0.566)

## Properties
Total energy after the MP2020 corrections = -5.562 eV/atom
Density = 4.9 Mg/m³
Electronic total energy = -274.25 eV for the cell shown
Energy relative to the elements = -1.38 eV/atom
Crystal system = monoclinic
V = 457.8 Å³/f.u.


Record 2
DFT (PBE) results for a geometry-optimized LaIO3 structure.

Cell: 10.839 10.839 4.485 Å, 92.18 92.18 21.87°
Sites, in units of the cell vectors:
La (0.196, 0.196, 0.234)
La (0.804, 0.804, 0.766)
I (0.415, 0.415, 0.375)
I (0.585, 0.585, 0.625)
O (0.097, 0.097, 0.555)
O (0.244, 0.244, 0.743)
O (0.377, 0.377, 0.984)
O (0.623, 0.623, 0.016)
O (0.756, 0.756, 0.257)
O (0.903, 0.903, 0.445)

## Properties
Total energy after the MP2020 corrections = -6.521 eV/atom
Density = 5.3 Mg/m³
Electronic total energy = -61.09 eV for the cell shown
Energy relative to the elements = -2.26 eV/atom
Crystal system = monoclinic
V = 98.1 Å³/f.u.


Record 3
DFT (PBE) results for a geometry-optimized LaI4O12 structure.

Cell: 10.757 7.745 14.537 Å, 90.00 110.34 90.00°
Sites, in units of the cell vectors:
La (0.181, 0.238, 0.140)
La (0.181, 0.262, 0.640)
La (0.819, 0.738, 0.360)
La (0.819, 0.762, 0.860)
I (0.035, 0.734, 0.139)
I (0.035, 0.766, 0.639)
I (0.203, 0.674, 0.442)
I (0.203, 0.826, 0.942)
I (0.352, 0.165, 0.438)
I (0.352, 0.335, 0.938)
I (0.448, 0.637, 0.730)
I (0.448, 0.863, 0.230)
I (0.552, 0.137, 0.770)
I (0.552, 0.363, 0.270)
I (0.648, 0.665, 0.062)
I (0.648, 0.835, 0.562)
I (0.797, 0.174, 0.058)
I (0.797, 0.326, 0.558)
I (0.965, 0.234, 0.361)
I (0.965, 0.266, 0.861)
O (0.028, 0.721, 0.009)
O (0.028, 0.779, 0.509)
O (0.050, 0.707, 0.335)
O (0.050, 0.793, 0.835)
O (0.125, 0.535, 0.179)
O (0.125, 0.965, 0.679)
O (0.166, 0.602, 0.680)
O (0.166, 0.898, 0.180)
O (0.171, 0.037, 0.986)
O (0.171, 0.463, 0.486)
O (0.229, 0.103, 0.495)
O (0.229, 0.397, 0.995)
O (0.230, 0.226, 0.318)
O (0.230, 0.274, 0.818)
O (0.318, 0.604, 0.381)
O (0.318, 0.896, 0.881)
O (0.379, 0.073, 0.710)
O (0.379, 0.427, 0.210)
O (0.393, 0.550, 0.907)
O (0.393, 0.950, 0.407)
O (0.396, 0.088, 0.193)
O (0.396, 0.412, 0.693)
O (0.444, 0.714, 0.609)
O (0.444, 0.786, 0.109)
O (0.556, 0.214, 0.891)
O (0.556, 0.286, 0.391)
O (0.604, 0.588, 0.307)
O (0.604, 0.912, 0.807)
O (0.607, 0.050, 0.593)
O (0.607, 0.450, 0.093)
O (0.621, 0.573, 0.790)
O (0.621, 0.927, 0.290)
O (0.682, 0.104, 0.119)
O (0.682, 0.396, 0.619)
O (0.770, 0.726, 0.182)
O (0.770, 0.774, 0.682)
O (0.771, 0.603, 0.005)
O (0.771, 0.897, 0.505)
O (0.829, 0.537, 0.514)
O (0.829, 0.963, 0.014)
O (0.834, 0.102, 0.820)
O (0.834, 0.398, 0.320)
O (0.875, 0.035, 0.321)
O (0.875, 0.465, 0.821)
O (0.950, 0.207, 0.165)
O (0.950, 0.293, 0.665)
O (0.972, 0.221, 0.491)
O (0.972, 0.279, 0.991)

## Properties
Total energy after the MP2020 corrections = -5.391 eV/atom
Density = 4.9 Mg/m³
Electronic total energy = -333.63 eV for the cell shown
Energy relative to the elements = -1.25 eV/atom
Crystal system = monoclinic
V = 283.9 Å³/f.u.


For reference, magnetic moment by record: 3.99, 0.00, 3.83 Bohr magnetons per cell.